# 1
First-principles (PBE+U) data for RbHoMo2O8 after structural relaxation, as listed in Materials Project.

The space group is Pbcn (No. 60) and the conventional cell measures 5.147, 19.144 and 8.199 Å, with angles of 90.00, 90.00 and 90.00 degrees. The inequivalent atoms are Rb at (0.000, 0.229, 0.250), Ho at (0.000, 0.007, 0.750), Mo at (0.025, 0.403, 0.515), O at (0.091, 0.317, 0.976), O at (0.234, 0.405, 0.339), O at (0.242, 0.414, 0.689) and O at (0.247, 0.035, 0.506).

The calculation puts the energy of formation at -2551 meV/atom. The calculation puts the spin magnetization at 0.0000 μB per atom.

# 2
First-principles (PBE+U) data for Na2HoPWO8 after structural relaxation, as listed in Materials Project.

The space group is Ibca (No. 73) and the conventional cell measures 6.932, 12.233 and 18.259 Å, with angles of 90.00, 90.00 and 90.00 degrees. The inequivalent atoms are Na at (0.011, 0.060, 0.153), Ho at (0.250, 0.177, 0.500), P at (0.250, 0.070, 0.000), W at (0.000, 0.250, 0.322), O at (0.045, 0.130, 0.767), O at (0.075, 0.149, 0.008), O at (0.212, 0.224, 0.380) and O at (0.235, 0.006, 0.568).

The calculation puts the energy of formation at -2808 meV/atom. The calculation puts the spin magnetization at 0.0001 μB per atom.

# 3
First-principles (PBE+U) data for HoNiO3 after structural relaxation, as listed in Materials Project.

The space group is Pnma (No. 62) and the conventional cell measures 5.658, 7.407 and 5.184 Å, with angles of 90.00, 90.00 and 90.00 degrees. The inequivalent atoms are Ho at (0.082, 0.250, 0.023), Ni at (0.000, 0.000, 0.500), O at (0.033, 0.750, 0.391) and O at (0.188, 0.553, 0.804).

The calculation puts the energy of formation at -2510 meV/atom.

# 4
First-principles (PBE+U) data for Ho2VPO8 after structural relaxation, as listed in Materials Project.

The space group is I-4m2 (No. 119) and the conventional cell measures 7.083, 7.083 and 6.178 Å, with angles of 90.00, 90.00 and 90.00 degrees. The inequivalent atoms are Ho at (0.000, 0.000, 0.000), Ho at (0.000, 0.500, 0.250), V at (0.000, 0.500, 0.750), P at (0.000, 0.000, 0.500), O at (0.000, 0.172, 0.342) and O at (0.000, 0.314, 0.932).

The calculation puts the energy of formation at -3353 meV/atom. The calculation puts the spin magnetization at 0.0000 μB per atom.

# 5
First-principles (PBE+U) data for HoVO4 after structural relaxation, as listed in Materials Project.

The space group is I4_1/a (No. 88, origin choice 2) and the conventional cell measures 5.081, 5.081 and 11.208 Å, with angles of 90.00, 90.00 and 90.00 degrees. The inequivalent atoms are Ho at (0.000, 0.250, 0.125), V at (0.000, 0.250, 0.625) and O at (0.150, 0.006, 0.294).

The calculation puts the energy of formation at -3175 meV/atom. The calculation puts the spin magnetization at 0.0000 μB per atom.

# 6
First-principles (PBE+U) data for Ho2V2O7 after structural relaxation, as listed in Materials Project.

The space group is Fd-3m (No. 227, origin choice 2) and the conventional cell measures 10.103, 10.103 and 10.103 Å, with angles of 90.00, 90.00 and 90.00 degrees. The inequivalent atoms are Ho at (0.000, 0.000, 0.000), V at (0.000, 0.000, 0.500), O at (0.082, 0.375, 0.875) and O at (0.125, 0.125, 0.125).

The calculation puts the energy of formation at -3244 meV/atom. Its energy above the lowest structure with this stoichiometry is 0.000 eV per atom.

# 7
First-principles (PBE+U) data for HoVO4 after structural relaxation, as listed in Materials Project.

The space group is I4_1/amd (No. 141, origin choice 2) and the conventional cell measures 7.174, 7.174 and 6.340 Å, with angles of 90.00, 90.00 and 90.00 degrees. The inequivalent atoms are Ho at (0.000, 0.250, 0.375), V at (0.000, 0.250, 0.875) and O at (0.000, 0.065, 0.698).

The calculation puts the energy of formation at -3212 meV/atom.

# 8
First-principles (PBE+U) data for HoVO3 after structural relaxation, as listed in Materials Project.

The space group is Pnma (No. 62) and the conventional cell measures 5.731, 7.626 and 5.311 Å, with angles of 90.00, 90.00 and 90.00 degrees. The inequivalent atoms are Ho at (0.071, 0.250, 0.021), V at (0.000, 0.000, 0.500), O at (0.049, 0.750, 0.379) and O at (0.188, 0.560, 0.807).

The calculation puts the energy of formation at -3304 meV/atom.

Number 1 is which compound?
RbHoMo2O8

energy of formation of number 2 (Na2HoPWO8)?
-2808 meV/atom

Copy entry 3 word for word.
First-principles (PBE+U) data for HoNiO3 after structural relaxation, as listed in Materials Project.

The space group is Pnma (No. 62) and the conventional cell measures 5.658, 7.407 and 5.184 Å, with angles of 90.00, 90.00 and 90.00 degrees. The inequivalent atoms are Ho at (0.082, 0.250, 0.023), Ni at (0.000, 0.000, 0.500), O at (0.033, 0.750, 0.391) and O at (0.188, 0.553, 0.804).

The calculation puts the energy of formation at -2510 meV/atom.

Among the records above, which one has the highest energy of formation?
HoNiO3